4
Lattice="-2.5597 2.5597 5.0968 2.5597 -2.5597 5.0968 2.5597 2.5597 -5.0968" Properties=species:S:1:pos:R:3 comment="CaTb3 PBE optimized geometry" formation_enthalpy_0k_ev_per_atom=0.123 mass_density_g_cm3=6.4 pbc="T T T"
Ca 0.0000 0.0000 0.0000
Tb 2.5597 0.0000 2.5484
Tb 0.0000 0.0000 5.0968
Tb 0.0000 2.5597 2.5484